Entry 1:
## TcN (PBE-GGA)

Data for a relaxed TcN crystal.

a = 4.0544 Å, b = 4.0544 Å, c = 4.0544 Å
α = 90.00°, β = 90.00°, γ = 90.00°
With the nearest neighbours (Å) after each atom.
Sites, in units of the cell vectors:
Tc (0.5000, 0.5000, 0.0000)  4 N 2.03
Tc (0.5000, 0.0000, 0.5000)  4 N 2.03
Tc (0.0000, 0.5000, 0.5000)  4 N 2.03
N (0.0000, 0.0000, 0.5000)  4 Tc 2.03
N (0.0000, 0.5000, 0.0000)  4 Tc 2.03
N (0.5000, 0.0000, 0.0000)  4 Tc 2.03

Formation enthalpy at 0 K   -173 meV per atom
ΔE to the lowest computed polymorph   0.000 eV/atom

Entry 2:
## Ni10W3C3 (PBE-GGA)

Data for a relaxed Ni10W3C3 crystal.

a = 7.3839 Å, b = 7.3839 Å, c = 7.8384 Å
α = 90.00°, β = 90.00°, γ = 120.00°
With the nearest neighbours (Å) after each atom.
Sites, in units of the cell vectors:
Ni (0.4028, 0.2014, 0.0503)  2 C 1.99
Ni (0.8908, 0.7817, 0.7500)  6 Ni 2.41-2.63, 2 W 2.49
Ni (0.2014, 0.7986, 0.5503)  2 C 1.99
Ni (0.0000, 0.0000, 0.0000)  12 Ni 2.41-2.61
Ni (0.2014, 0.7986, 0.9497)  2 C 1.99
Ni (0.0000, 0.0000, 0.5000)  12 Ni 2.41-2.61
Ni (0.5972, 0.7986, 0.5503)  2 C 1.99
Ni (0.2014, 0.4028, 0.5503)  2 C 1.99
Ni (0.5972, 0.7986, 0.9497)  2 C 1.99
Ni (0.7986, 0.5972, 0.4497)  2 C 1.99
Ni (0.7986, 0.2014, 0.0503)  2 C 1.99
Ni (0.8908, 0.1092, 0.7500)  6 Ni 2.41-2.63, 2 W 2.49
Ni (0.4028, 0.2014, 0.4497)  2 C 1.99
Ni (0.7817, 0.8908, 0.2500)  6 Ni 2.41-2.63, 2 W 2.49
Ni (0.7986, 0.2014, 0.4497)  2 C 1.99
Ni (0.1092, 0.8908, 0.2500)  6 Ni 2.41-2.63, 2 W 2.49
Ni (0.7986, 0.5972, 0.0503)  2 C 1.99
Ni (0.1092, 0.2183, 0.2500)  6 Ni 2.41-2.63, 2 W 2.49
Ni (0.2183, 0.1092, 0.7500)  6 Ni 2.41-2.63, 2 W 2.49
Ni (0.2014, 0.4028, 0.9497)  2 C 1.99
W (0.4552, 0.5448, 0.2500)  2 C 2.04
W (0.4552, 0.9104, 0.2500)  2 C 2.04
W (0.5448, 0.0896, 0.7500)  2 C 2.04
W (0.0896, 0.5448, 0.2500)  2 C 2.04
W (0.5448, 0.4552, 0.7500)  2 C 2.04
W (0.9104, 0.4552, 0.7500)  2 C 2.04
C (0.5000, 0.0000, 0.0000)  4 Ni 1.99, 2 W 2.04
C (0.5000, 0.5000, 0.0000)  4 Ni 1.99, 2 W 2.04
C (0.0000, 0.5000, 0.0000)  4 Ni 1.99, 2 W 2.04
C (0.5000, 0.0000, 0.5000)  4 Ni 1.99, 2 W 2.04
C (0.5000, 0.5000, 0.5000)  4 Ni 1.99, 2 W 2.04
C (0.0000, 0.5000, 0.5000)  4 Ni 1.99, 2 W 2.04

Formation enthalpy at 0 K   135 meV per atom
Magnetic moment   1.72 Bohr magnetons per cell

Entry 3:
## KCaTbNbO6 (PBE-GGA)

Data for a relaxed KCaTbNbO6 crystal.

a = 5.9966 Å, b = 5.9966 Å, c = 5.9966 Å
α = 60.00°, β = 60.00°, γ = 60.00°
With the nearest neighbours (Å) after each atom.
Sites, in units of the cell vectors:
O (0.2363, 0.2363, 0.7637)  1 Nb 2.00, 1 Tb 2.24
O (0.2363, 0.7637, 0.2363)  1 Nb 2.00, 1 Tb 2.24
O (0.7637, 0.7637, 0.2363)  1 Nb 2.00, 1 Tb 2.24
O (0.2363, 0.7637, 0.7637)  1 Nb 2.00, 1 Tb 2.24
O (0.7637, 0.2363, 0.2363)  1 Nb 2.00, 1 Tb 2.24
O (0.7637, 0.2363, 0.7637)  1 Nb 2.00, 1 Tb 2.24
Ca (0.7500, 0.7500, 0.7500)  12 O 3.00
Nb (0.0000, 0.0000, 0.0000)  6 O 2.00
K (0.2500, 0.2500, 0.2500)  12 O 3.00
Tb (0.5000, 0.5000, 0.5000)  6 O 2.24

Formation enthalpy at 0 K   -2934 meV per atom
Magnetic moment   1.00 Bohr magnetons per cell

Entry 4:
## PrP3H10O14 (PBE-GGA)

Data for a relaxed PrP3H10O14 crystal.

a = 7.7170 Å, b = 8.9967 Å, c = 9.7999 Å
α = 78.17°, β = 79.09°, γ = 66.58°
With the nearest neighbours (Å) after each atom.
Sites, in units of the cell vectors:
Pr (0.4301, 0.2448, 0.7285)  8 O 2.42-2.58
Pr (0.5699, 0.7552, 0.2715)  8 O 2.42-2.58
O (0.4077, 0.5700, 0.2616)  1 P 1.50
O (0.1534, 0.1865, 0.8857)  2 H 0.99-1.00
O (0.1687, 0.5125, 0.7260)  1 P 1.49
O (0.5495, 0.7199, 0.7621)  2 P 1.62
O (0.8921, 0.0717, 0.1819)  2 H 0.98-1.00
O (0.4505, 0.2801, 0.2379)  2 P 1.62
O (0.8567, 0.6912, 0.8392)  2 P 1.62-1.63
O (0.5923, 0.4300, 0.7384)  1 P 1.50
O (0.6944, 0.9093, 0.3899)  2 H 0.98-0.99
O (0.8631, 0.5272, 0.6580)  2 P 1.62-1.63
O (0.2183, 0.6464, 0.9986)  2 H 0.98
O (0.8466, 0.8135, 0.1143)  2 H 0.99-1.00
O (0.1369, 0.4728, 0.3420)  2 P 1.62-1.63
O (0.5718, 0.7123, 0.0199)  1 P 1.50
O (0.7817, 0.3536, 0.0014)  2 H 0.98
O (0.4245, 0.3511, 0.4794)  1 P 1.49
O (0.0424, 0.2224, 0.4189)  1 P 1.51
O (0.2201, 0.8838, 0.3782)  2 H 0.99
O (0.9576, 0.7776, 0.5811)  1 P 1.51
O (0.1433, 0.3088, 0.1608)  2 P 1.62-1.63
O (0.5730, 0.9629, 0.8342)  1 P 1.50
O (0.8313, 0.4875, 0.2740)  1 P 1.49
O (0.4270, 0.0371, 0.1658)  1 P 1.50
O (0.4282, 0.2877, 0.9801)  1 P 1.50
O (0.1079, 0.9283, 0.8181)  2 H 0.98-1.00
O (0.3056, 0.0907, 0.6101)  2 H 0.98-0.99
O (0.7799, 0.1162, 0.6218)  2 H 0.99
O (0.5755, 0.6489, 0.5206)  1 P 1.49
P (0.9763, 0.6305, 0.6923)  4 O 1.49-1.63
P (0.3646, 0.4234, 0.3369)  4 O 1.49-1.63
P (0.3718, 0.2182, 0.1270)  4 O 1.50-1.62
P (0.6354, 0.5766, 0.6631)  4 O 1.49-1.63
P (0.0237, 0.3695, 0.3077)  4 O 1.49-1.63
P (0.6282, 0.7818, 0.8730)  4 O 1.50-1.62
H (0.3127, 0.6420, 0.0556)  1 O 0.98
H (0.0268, 0.0475, 0.1829)  1 O 0.98
H (0.1304, 0.0908, 0.8686)  1 O 1.00
H (0.6873, 0.3580, 0.9444)  1 O 0.98
H (0.1631, 0.0001, 0.3916)  1 O 0.99
H (0.8369, 0.9999, 0.6084)  1 O 0.99
H (0.8393, 0.1814, 0.1240)  1 O 1.00
H (0.2697, 0.5403, 0.9638)  1 O 0.98
H (0.9721, 0.7356, 0.0802)  1 O 0.99
H (0.7524, 0.9850, 0.3328)  1 O 0.98
H (0.2476, 0.0150, 0.6672)  1 O 0.98
H (0.7303, 0.4597, 0.0362)  1 O 0.98
H (0.9732, 0.9525, 0.8171)  1 O 0.98
H (0.8696, 0.9092, 0.1314)  1 O 1.00
H (0.8497, 0.1721, 0.5489)  1 O 0.99
H (0.1607, 0.8186, 0.8760)  1 O 1.00
H (0.7761, 0.8514, 0.4659)  1 O 0.99
H (0.0279, 0.2644, 0.9198)  1 O 0.99
H (0.1503, 0.8279, 0.4511)  1 O 0.99
H (0.2239, 0.1486, 0.5341)  1 O 0.99

Formation enthalpy at 0 K   -2054 meV per atom
Magnetic moment   0.01 Bohr magnetons per cell

Entry 5:
## AlZn2SbH12O12 (PBE-GGA)

Data for a relaxed AlZn2SbH12O12 crystal.

a = 5.4550 Å, b = 5.4550 Å, c = 9.9013 Å
α = 90.00°, β = 90.00°, γ = 120.00°
With the nearest neighbours (Å) after each atom.
Sites, in units of the cell vectors:
O (0.2193, 0.8792, 0.6189)  1 H 0.99
O (0.3024, 0.9978, 0.8991)  1 H 0.98
O (0.0022, 0.3046, 0.8991)  1 H 0.98
O (0.6954, 0.6976, 0.8991)  1 H 0.98
O (0.9978, 0.6954, 0.1009)  1 H 0.98
O (0.6599, 0.7807, 0.6189)  1 H 0.99
O (0.6976, 0.0022, 0.1009)  1 H 0.98
O (0.3401, 0.2193, 0.3811)  1 H 0.99
O (0.1208, 0.3401, 0.6189)  1 H 0.99
O (0.8792, 0.6599, 0.3811)  1 H 0.99
O (0.3046, 0.3024, 0.1009)  1 H 0.98
O (0.7807, 0.1208, 0.3811)  1 H 0.99
Zn (0.3333, 0.6667, 0.0060)  6 O 2.13-2.17
Zn (0.6667, 0.3333, 0.9940)  6 O 2.13-2.17
Sb (0.0000, 0.0000, 0.5000)  6 O 2.01
H (0.0231, 0.3084, 0.8003)  1 O 0.98
H (0.6916, 0.7147, 0.8003)  1 O 0.98
H (0.3299, 0.4588, 0.6114)  1 O 0.99
H (0.3084, 0.2853, 0.1997)  1 O 0.98
H (0.8711, 0.3299, 0.3886)  1 O 0.99
H (0.5412, 0.8711, 0.6114)  1 O 0.99
H (0.2853, 0.9769, 0.8003)  1 O 0.98
H (0.7147, 0.0231, 0.1997)  1 O 0.98
H (0.1289, 0.6701, 0.6114)  1 O 0.99
H (0.6701, 0.5412, 0.3886)  1 O 0.99
H (0.4588, 0.1289, 0.3886)  1 O 0.99
H (0.9769, 0.6916, 0.1997)  1 O 0.98
Al (0.0000, 0.0000, 0.0000)  6 O 1.93

Formation enthalpy at 0 K   -1614 meV per atom
ΔE to the lowest computed polymorph   0.000 eV/atom
Magnetic moment   0.00 Bohr magnetons per cell

Entry 6:
## Y2CdSe4 (PBE-GGA)

Data for a relaxed Y2CdSe4 crystal.

a = 8.3669 Å, b = 8.3669 Å, c = 8.3669 Å
α = 60.00°, β = 60.00°, γ = 60.00°
With the nearest neighbours (Å) after each atom.
Sites, in units of the cell vectors:
Se (0.3819, 0.8544, 0.3819)  1 Cd 2.70, 3 Y 2.88
Se (0.3819, 0.3819, 0.3819)  1 Cd 2.70, 3 Y 2.88
Se (0.8544, 0.3819, 0.3819)  1 Cd 2.70, 3 Y 2.88
Se (0.3819, 0.3819, 0.8544)  1 Cd 2.70, 3 Y 2.88
Se (0.3956, 0.8681, 0.8681)  1 Cd 2.70, 3 Y 2.88
Se (0.8681, 0.8681, 0.3956)  1 Cd 2.70, 3 Y 2.88
Se (0.8681, 0.8681, 0.8681)  1 Cd 2.70, 3 Y 2.88
Se (0.8681, 0.3956, 0.8681)  1 Cd 2.70, 3 Y 2.88
Y (0.6250, 0.6250, 0.1250)  6 Se 2.88
Y (0.6250, 0.1250, 0.6250)  6 Se 2.88
Y (0.6250, 0.6250, 0.6250)  6 Se 2.88
Y (0.1250, 0.6250, 0.6250)  6 Se 2.88
Cd (0.0000, 0.0000, 0.0000)  4 Se 2.70
Cd (0.2500, 0.2500, 0.2500)  4 Se 2.70

Formation enthalpy at 0 K   -1788 meV per atom

Entry 7:
## Ti12Cu9Bi2O36 (PBE-GGA)

Data for a relaxed Ti12Cu9Bi2O36 crystal.

a = 6.4789 Å, b = 10.5485 Å, c = 10.5485 Å
α = 60.00°, β = 90.00°, γ = 90.00°
With the nearest neighbours (Å) after each atom.
Sites, in units of the cell vectors:
O (0.3204, 0.1596, 0.8576)  2 Ti 1.96-2.10, 1 Cu 1.98
O (0.7481, 0.0728, 0.5526)  1 Cu 1.97, 2 Ti 1.98-2.06
O (0.2453, 0.6225, 0.9349)  2 Ti 1.93, 1 Cu 1.97
O (0.3204, 0.8576, 0.9828)  2 Ti 1.96-2.10, 1 Cu 1.98
O (0.9854, 0.3158, 0.4930)  1 Cu 1.96, 2 Ti 1.98-2.01
O (0.4214, 0.3984, 0.8907)  2 Ti 1.93, 1 Cu 1.97
O (0.0033, 0.6833, 0.5026)  2 Ti 1.89-1.98, 1 Cu 1.97
O (0.9185, 0.9587, 0.2605)  1 Cu 1.97, 2 Ti 1.98-2.06
O (0.3463, 0.4758, 0.3505)  2 Ti 1.96-2.10, 1 Cu 1.98
O (0.7481, 0.3746, 0.0728)  1 Cu 1.97, 2 Ti 1.98-2.06
O (0.6634, 0.8307, 0.5193)  2 Ti 1.89-1.98, 1 Cu 1.97
O (0.6813, 0.1422, 0.0176)  1 Cu 1.96, 2 Ti 1.98-2.01
O (0.3463, 0.1737, 0.4758)  2 Ti 1.96-2.10, 1 Cu 1.98
O (0.4214, 0.8907, 0.7108)  2 Ti 1.93, 1 Cu 1.97
O (0.0033, 0.5026, 0.8140)  2 Ti 1.89-1.98, 1 Cu 1.97
O (0.0839, 0.2194, 0.0414)  1 Cu 1.98, 2 Ti 1.99-2.05
O (0.9185, 0.7807, 0.9587)  1 Cu 1.97, 2 Ti 1.98-2.06
O (0.3204, 0.9828, 0.1596)  2 Ti 1.96-2.10, 1 Cu 1.98
O (0.5828, 0.1139, 0.2919)  1 Cu 1.98, 2 Ti 1.99-2.05
O (0.5828, 0.5942, 0.1139)  1 Cu 1.98, 2 Ti 1.99-2.05
O (0.7481, 0.5526, 0.3746)  1 Cu 1.97, 2 Ti 1.98-2.06
O (0.9185, 0.2605, 0.7807)  1 Cu 1.97, 2 Ti 1.98-2.06
O (0.2453, 0.9349, 0.4426)  2 Ti 1.93, 1 Cu 1.97
O (0.9854, 0.1912, 0.3158)  1 Cu 1.96, 2 Ti 1.98-2.01
O (0.6813, 0.8403, 0.1422)  1 Cu 1.96, 2 Ti 1.98-2.01
O (0.6634, 0.5193, 0.6500)  2 Ti 1.89-1.98, 1 Cu 1.97
O (0.9854, 0.4930, 0.1912)  1 Cu 1.96, 2 Ti 1.98-2.01
O (0.5828, 0.2919, 0.5942)  1 Cu 1.98, 2 Ti 1.99-2.05
O (0.0033, 0.8140, 0.6833)  2 Ti 1.89-1.98, 1 Cu 1.97
O (0.4214, 0.7108, 0.3984)  2 Ti 1.93, 1 Cu 1.97
O (0.6634, 0.6500, 0.8307)  2 Ti 1.89-1.98, 1 Cu 1.97
O (0.0839, 0.7391, 0.2194)  1 Cu 1.98, 2 Ti 1.99-2.05
O (0.6813, 0.0176, 0.8403)  1 Cu 1.96, 2 Ti 1.98-2.01
O (0.0839, 0.0414, 0.7391)  1 Cu 1.98, 2 Ti 1.99-2.05
O (0.3463, 0.3505, 0.1737)  2 Ti 1.96-2.10, 1 Cu 1.98
O (0.2453, 0.4426, 0.6225)  2 Ti 1.93, 1 Cu 1.97
Cu (0.6707, 0.8347, 0.8346)  4 O 1.96-1.97
Cu (0.3333, 0.6667, 0.1667)  4 O 1.98
Cu (0.9959, 0.4988, 0.0026)  4 O 1.96-1.97
Cu (0.6707, 0.3308, 0.8347)  4 O 1.96-1.97
Cu (0.3333, 0.1667, 0.1667)  4 O 1.98
Cu (0.6707, 0.8346, 0.3308)  4 O 1.96-1.97
Cu (0.9959, 0.0026, 0.4987)  4 O 1.96-1.97
Cu (0.9959, 0.4987, 0.4988)  4 O 1.96-1.97
Cu (0.3333, 0.1667, 0.6667)  4 O 1.98
Ti (0.4967, 0.9838, 0.5068)  6 O 1.89-2.10
Ti (0.1720, 0.3333, 0.3333)  6 O 1.96-2.01
Ti (0.1700, 0.8239, 0.3495)  6 O 1.89-2.10
Ti (0.4946, 0.0000, 0.0000)  6 O 1.96-2.01
Ti (0.8333, 0.1667, 0.6667)  6 O 1.98-1.99
Ti (0.4967, 0.5094, 0.9838)  6 O 1.89-2.10
Ti (0.8333, 0.6667, 0.6667)  6 O 1.98
Ti (0.1700, 0.3495, 0.8266)  6 O 1.89-2.10
Ti (0.8333, 0.6667, 0.1667)  6 O 1.98-1.99
Ti (0.1700, 0.8266, 0.8239)  6 O 1.89-2.10
Ti (0.8333, 0.1667, 0.1667)  6 O 1.98-1.99
Ti (0.4967, 0.5068, 0.5094)  6 O 1.89-2.10
Bi (0.6575, 0.3333, 0.3333)  12 O 2.57-2.66
Bi (0.0092, 0.0000, 0.0000)  12 O 2.57-2.66

Formation enthalpy at 0 K   -2508 meV per atom
Magnetic moment   9.00 Bohr magnetons per cell

Entry 8:
## SmI3 (PBE-GGA)

Data for a relaxed SmI3 crystal.

a = 11.2941 Å, b = 11.2941 Å, c = 4.0868 Å
α = 90.00°, β = 90.00°, γ = 120.00°
With the nearest neighbours (Å) after each atom.
Sites, in units of the cell vectors:
I (0.4251, 0.2126, 0.7500)  2 Sm 3.12
I (0.2126, 0.4251, 0.2500)  2 Sm 3.12
I (0.5749, 0.7874, 0.2500)  2 Sm 3.12
I (0.7874, 0.2126, 0.7500)  2 Sm 3.12
I (0.2126, 0.7874, 0.2500)  2 Sm 3.12
I (0.7874, 0.5749, 0.7500)  2 Sm 3.12
Sm (0.3333, 0.6667, 0.7500)  6 I 3.12
Sm (0.6667, 0.3333, 0.2500)  6 I 3.12

Formation enthalpy at 0 K   -1680 meV per atom

> The lowest formation enthalpy at 0 K belongs to which entry?

KCaTbNbO6

Please write out number 5 again, unchanged.
## AlZn2SbH12O12 (PBE-GGA)

Data for a relaxed AlZn2SbH12O12 crystal.

a = 5.4550 Å, b = 5.4550 Å, c = 9.9013 Å
α = 90.00°, β = 90.00°, γ = 120.00°
With the nearest neighbours (Å) after each atom.
Sites, in units of the cell vectors:
O (0.2193, 0.8792, 0.6189)  1 H 0.99
O (0.3024, 0.9978, 0.8991)  1 H 0.98
O (0.0022, 0.3046, 0.8991)  1 H 0.98
O (0.6954, 0.6976, 0.8991)  1 H 0.98
O (0.9978, 0.6954, 0.1009)  1 H 0.98
O (0.6599, 0.7807, 0.6189)  1 H 0.99
O (0.6976, 0.0022, 0.1009)  1 H 0.98
O (0.3401, 0.2193, 0.3811)  1 H 0.99
O (0.1208, 0.3401, 0.6189)  1 H 0.99
O (0.8792, 0.6599, 0.3811)  1 H 0.99
O (0.3046, 0.3024, 0.1009)  1 H 0.98
O (0.7807, 0.1208, 0.3811)  1 H 0.99
Zn (0.3333, 0.6667, 0.0060)  6 O 2.13-2.17
Zn (0.6667, 0.3333, 0.9940)  6 O 2.13-2.17
Sb (0.0000, 0.0000, 0.5000)  6 O 2.01
H (0.0231, 0.3084, 0.8003)  1 O 0.98
H (0.6916, 0.7147, 0.8003)  1 O 0.98
H (0.3299, 0.4588, 0.6114)  1 O 0.99
H (0.3084, 0.2853, 0.1997)  1 O 0.98
H (0.8711, 0.3299, 0.3886)  1 O 0.99
H (0.5412, 0.8711, 0.6114)  1 O 0.99
H (0.2853, 0.9769, 0.8003)  1 O 0.98
H (0.7147, 0.0231, 0.1997)  1 O 0.98
H (0.1289, 0.6701, 0.6114)  1 O 0.99
H (0.6701, 0.5412, 0.3886)  1 O 0.99
H (0.4588, 0.1289, 0.3886)  1 O 0.99
H (0.9769, 0.6916, 0.1997)  1 O 0.98
Al (0.0000, 0.0000, 0.0000)  6 O 1.93

Formation enthalpy at 0 K   -1614 meV per atom
ΔE to the lowest computed polymorph   0.000 eV/atom
Magnetic moment   0.00 Bohr magnetons per cell

> The lowest formation enthalpy at 0 K belongs to which entry?

KCaTbNbO6